Record 1
NaAs2O6 | PBE | relaxed

Cell lengths 9.3906, 5.6489, 9.1069 Å; angles 79.51, 90.00, 90.00 degrees
Fractional positions:
Na: 0.3100 0.3972 0.4833
Na: 0.8100 0.6028 0.0167
Na: 0.6900 0.6028 0.5167
Na: 0.1900 0.3972 0.9833
As: 0.4139 0.8156 0.7372
As: 0.9139 0.1844 0.7628
As: 0.5861 0.1844 0.2628
As: 0.0861 0.8156 0.2372
As: 0.3959 0.8668 0.0847
As: 0.8959 0.1332 0.4153
As: 0.6041 0.1332 0.9153
As: 0.1041 0.8668 0.5847
O: 0.4165 0.1697 0.9679
O: 0.9165 0.8303 0.5321
O: 0.5835 0.8303 0.0321
O: 0.0835 0.1697 0.4679
O: 0.3556 0.5736 0.1846
O: 0.8556 0.4264 0.3154
O: 0.6444 0.4264 0.8154
O: 0.1444 0.5736 0.6846
O: 0.2948 0.9750 0.6068
O: 0.7948 0.0250 0.8932
O: 0.7052 0.0250 0.3932
O: 0.2052 0.9750 0.1068
O: 0.3299 0.7432 0.9082
O: 0.8299 0.2568 0.5918
O: 0.6701 0.2568 0.0918
O: 0.1701 0.7432 0.4082
O: 0.4688 0.5765 0.6596
O: 0.9688 0.4235 0.8404
O: 0.5312 0.4235 0.3404
O: 0.0312 0.5765 0.1596
O: 0.4477 0.9805 0.2626
O: 0.9477 0.0195 0.2374
O: 0.5523 0.0195 0.7374
O: 0.0523 0.9805 0.7626

space group = P2_1/c, No. 14

---

Record 2
Na5AsO5 | PBE | relaxed

Cell lengths 6.0370, 6.5043, 16.6269 Å; angles 90.00, 90.00, 90.00 degrees
Fractional positions:
Na: 0.5585 0.7500 0.4107
Na: 0.5585 0.2500 0.0893
Na: 0.4415 0.2500 0.5893
Na: 0.4415 0.7500 0.9107
Na: 0.4241 0.5000 0.2500
Na: 0.5759 0.0000 0.7500
Na: 0.8661 0.4942 0.5854
Na: 0.8661 0.5058 0.9146
Na: 0.1339 0.9942 0.4146
Na: 0.1339 0.0058 0.0854
Na: 0.1339 0.5058 0.4146
Na: 0.1339 0.4942 0.0854
Na: 0.8661 0.0058 0.5854
Na: 0.8661 0.9942 0.9146
Na: 0.0867 0.7500 0.7699
Na: 0.0867 0.2500 0.7301
Na: 0.9133 0.2500 0.2301
Na: 0.9133 0.7500 0.2699
Na: 0.5759 0.5000 0.7500
Na: 0.4241 0.0000 0.2500
As: 0.3066 0.7500 0.5959
As: 0.3066 0.2500 0.9041
As: 0.6934 0.2500 0.4041
As: 0.6934 0.7500 0.0959
O: 0.4270 0.7500 0.0582
O: 0.4270 0.2500 0.4418
O: 0.5730 0.2500 0.9418
O: 0.5730 0.7500 0.5582
O: 0.7437 0.2500 0.6759
O: 0.7437 0.7500 0.8241
O: 0.1107 0.7500 0.5201
O: 0.1107 0.2500 0.9799
O: 0.8893 0.2500 0.4799
O: 0.8893 0.7500 0.0201
O: 0.7443 0.4647 0.3451
O: 0.7443 0.5353 0.1550
O: 0.2557 0.9647 0.6550
O: 0.2557 0.0353 0.8450
O: 0.2557 0.5353 0.6550
O: 0.2557 0.4647 0.8450
O: 0.7443 0.0353 0.3451
O: 0.7443 0.9647 0.1550
O: 0.2563 0.7500 0.3241
O: 0.2563 0.2500 0.1759

space group = Pbcm, No. 57

---

Record 3
NaAsO3 | PBE | relaxed

Cell lengths 3.7192, 3.7192, 3.7192 Å; angles 90.00, 90.00, 90.00 degrees
Fractional positions:
Na: 0.0000 0.0000 0.0000
As: 0.5000 0.5000 0.5000
O: 0.5000 0.5000 0.0000
O: 0.5000 0.0000 0.5000
O: 0.0000 0.5000 0.5000

space group = Pm-3m, No. 221

---

Record 4
Na7As11O31 | PBE | relaxed

Cell lengths 11.3958, 11.4133, 16.4713 Å; angles 89.87, 90.34, 120.17 degrees
Fractional positions:
Na: 0.2286 0.7740 0.3316
Na: 0.2319 0.7689 0.6637
Na: 0.2297 0.7713 0.9965
Na: 0.2306 0.4592 0.3300
Na: 0.9825 0.9763 0.3421
Na: 0.2280 0.4520 0.6630
Na: 0.2286 0.4541 0.9974
Na: 0.9858 0.0146 0.6721
Na: 0.5465 0.7733 0.3301
Na: 0.5474 0.7724 0.6630
Na: 0.5488 0.7737 0.9961
Na: 0.4576 0.2215 0.0017
Na: 0.4584 0.2363 0.3351
Na: 0.4568 0.2373 0.6683
Na: 0.9883 0.0082 0.0135
Na: 0.7714 0.5464 0.0045
Na: 0.7618 0.5426 0.6686
Na: 0.7637 0.5452 0.3340
Na: 0.7636 0.2181 0.0012
Na: 0.7706 0.2257 0.3382
Na: 0.7744 0.2245 0.6701
As: 0.0019 0.5087 0.1670
As: 0.0019 0.4929 0.4995
As: 0.0017 0.4943 0.8331
As: 0.2769 0.0228 0.4930
As: 0.2497 0.9946 0.1670
As: 0.2761 0.0233 0.8260
As: 0.9764 0.2549 0.1620
As: 0.9996 0.2466 0.4982
As: 0.9994 0.2480 0.8340
As: 0.3338 0.6677 0.1590
As: 0.3339 0.6659 0.4916
As: 0.3337 0.6661 0.8253
As: 0.5011 0.0024 0.1702
As: 0.5065 0.9980 0.4999
As: 0.5057 0.9982 0.8328
As: 0.2768 0.2534 0.1609
As: 0.2491 0.2540 0.4988
As: 0.2489 0.2548 0.8338
As: 0.5009 0.4984 0.5022
As: 0.5063 0.5084 0.1670
As: 0.5013 0.4991 0.8361
As: 0.7536 0.7534 0.1670
As: 0.7451 0.7501 0.5009
As: 0.7456 0.7514 0.8337
As: 0.6676 0.3340 0.1746
As: 0.6677 0.3326 0.5076
As: 0.6675 0.3336 0.8407
As: 0.9996 0.7528 0.1663
As: 0.9769 0.7218 0.4940
As: 0.9768 0.7235 0.8261
As: 0.7444 0.9948 0.1688
As: 0.7532 0.0001 0.4993
As: 0.7526 0.0007 0.8338
O: 0.0972 0.9060 0.2314
O: 0.0596 0.6542 0.2327
O: 0.0500 0.6469 0.8960
O: 0.0509 0.6459 0.5633
O: 0.1552 0.8447 0.1032
O: 0.1425 0.8562 0.4650
O: 0.1439 0.8560 0.7970
O: 0.0504 0.4048 0.2308
O: 0.0595 0.4049 0.5649
O: 0.0592 0.4066 0.8996
O: 0.3506 0.9444 0.2350
O: 0.3540 0.9503 0.5632
O: 0.3543 0.9518 0.8963
O: 0.1748 0.5899 0.4418
O: 0.1746 0.5849 0.1091
O: 0.1747 0.5902 0.7754
O: 0.3333 0.6669 0.5930
O: 0.3328 0.6650 0.2603
O: 0.3331 0.6680 0.9266
O: 0.1419 0.2849 0.1338
O: 0.1554 0.3108 0.4352
O: 0.0966 0.1896 0.5627
O: 0.1544 0.3110 0.7710
O: 0.0966 0.1910 0.8989
O: 0.4124 0.8256 0.1109
O: 0.4091 0.8248 0.7756
O: 0.4094 0.8245 0.4424
O: 0.4091 0.5846 0.1099
O: 0.4125 0.5871 0.4434
O: 0.4121 0.5873 0.7771
O: 0.5942 0.9451 0.2360
O: 0.5956 0.9418 0.5660
O: 0.5948 0.9428 0.8997
O: 0.2026 0.0999 0.0992
O: 0.2025 0.1021 0.4312
O: 0.2011 0.1028 0.7654
O: 0.3552 0.4028 0.2309
O: 0.3511 0.4059 0.9015
O: 0.3510 0.4047 0.5672
O: 0.4131 0.3572 0.0951
O: 0.4080 0.3498 0.4362
O: 0.4072 0.3500 0.7705
O: 0.3015 0.1528 0.2336
O: 0.3006 0.1471 0.5659
O: 0.3006 0.1474 0.8995
O: 0.6878 0.8447 0.1053
O: 0.6881 0.8432 0.4375
O: 0.6881 0.8449 0.7710
O: 0.5959 0.6526 0.2337
O: 0.5951 0.6496 0.9014
O: 0.5950 0.6483 0.5684
O: 0.6516 0.5971 0.1010
O: 0.6496 0.5914 0.4374
O: 0.6495 0.5923 0.7704
O: 0.8113 0.9070 0.2321
O: 0.8115 0.9041 0.5643
O: 0.8110 0.9047 0.8981
O: 0.4081 0.0584 0.1043
O: 0.4136 0.0561 0.4276
O: 0.4129 0.0567 0.7605
O: 0.5875 0.4124 0.2226
O: 0.5895 0.4104 0.5590
O: 0.5895 0.4112 0.8923
O: 0.8465 0.6917 0.2293
O: 0.8541 0.6998 0.5674
O: 0.8534 0.7000 0.8996
O: 0.6661 0.3319 0.0731
O: 0.9050 0.8114 0.1013
O: 0.8952 0.7940 0.4327
O: 0.6662 0.3345 0.4060
O: 0.6658 0.3335 0.7389
O: 0.8967 0.7978 0.7652
O: 0.5894 0.1782 0.2267
O: 0.5870 0.1739 0.5555
O: 0.5869 0.1748 0.8887
O: 0.8268 0.4131 0.2230
O: 0.8270 0.4134 0.5557
O: 0.8266 0.4142 0.8889
O: 0.6495 0.0584 0.1052
O: 0.6514 0.0547 0.4337
O: 0.6511 0.0554 0.7673
O: 0.9437 0.5966 0.1008
O: 0.9425 0.5853 0.4280
O: 0.9425 0.5863 0.7606
O: 0.8530 0.1535 0.2351
O: 0.8466 0.1545 0.5616
O: 0.8456 0.1551 0.8964
O: 0.9423 0.3571 0.0956
O: 0.9439 0.3483 0.7675
O: 0.9438 0.3476 0.4330
O: 0.8946 0.1013 0.1005
O: 0.9035 0.0965 0.7684
O: 0.9044 0.0939 0.4333

space group = P1, No. 1

---

Record 5
NaAs3Pb4O12 | PBE | relaxed

Cell lengths 10.2270, 10.2270, 7.4435 Å; angles 90.00, 90.00, 120.00 degrees
Fractional positions:
Na: 0.6667 0.3333 0.5077
Na: 0.3333 0.6667 0.0077
As: 0.9834 0.3773 0.2522
As: 0.3938 0.0166 0.2522
As: 0.6227 0.6062 0.2522
As: 0.0166 0.6227 0.7522
As: 0.6062 0.9834 0.7522
As: 0.3773 0.3938 0.7522
Pb: 0.7423 0.7440 0.7487
Pb: 0.0017 0.2577 0.7487
Pb: 0.2560 0.9983 0.7487
Pb: 0.2577 0.2560 0.2487
Pb: 0.9983 0.7423 0.2487
Pb: 0.7440 0.0017 0.2487
Pb: 0.3333 0.6667 0.4861
Pb: 0.6667 0.3333 0.9861
O: 0.6601 0.9154 0.9321
O: 0.2553 0.3399 0.9321
O: 0.0846 0.7447 0.9321
O: 0.3399 0.0846 0.4321
O: 0.7447 0.6601 0.4321
O: 0.9154 0.2553 0.4321
O: 0.3467 0.0873 0.0681
O: 0.7406 0.6533 0.0681
O: 0.9127 0.2594 0.0681
O: 0.6533 0.9127 0.5681
O: 0.2594 0.3467 0.5681
O: 0.0873 0.7406 0.5681
O: 0.8968 0.4866 0.2524
O: 0.5897 0.1032 0.2524
O: 0.5134 0.4103 0.2524
O: 0.1032 0.5134 0.7524
O: 0.4103 0.8968 0.7524
O: 0.4866 0.5897 0.7524
O: 0.3082 0.8226 0.2485
O: 0.5145 0.6918 0.2485
O: 0.1774 0.4855 0.2485
O: 0.6918 0.1774 0.7485
O: 0.4855 0.3082 0.7485
O: 0.8226 0.5145 0.7485

space group = P6_3, No. 173

---

Record 6
Na3PrAs2O8 | PBE | relaxed

Cell lengths 5.9567, 5.9567, 7.4088 Å; angles 90.00, 90.00, 120.00 degrees
Fractional positions:
Na: 0.3333 0.6667 0.7009
Na: 0.6667 0.3333 0.2991
Na: 0.0000 0.0000 0.0000
Pr: 0.0000 0.0000 0.5000
As: 0.3333 0.6667 0.2144
As: 0.6667 0.3333 0.7856
O: 0.3333 0.6667 0.9892
O: 0.6667 0.3333 0.0108
O: 0.1785 0.8215 0.3052
O: 0.8215 0.1785 0.6948
O: 0.1785 0.3570 0.3052
O: 0.8215 0.6430 0.6948
O: 0.6430 0.8215 0.3052
O: 0.3570 0.1785 0.6948

relative energy among the computed polymorphs = 91.0 meV/atom
space group = P-3m1, No. 164

---

| no. | formation energy (eV per atom) | DFT total energy (eV/f.u.) |
| --- | --- | --- |
| 1 | -1.592 | -50.5 |
| 2 | -1.882 | -53.3 |
| 3 | -1.587 | -26.7 |
| 4 | -1.825 | -282.0 |
| 5 | -1.797 | -117.2 |
| 6 | -2.268 | -83.9 |